Record 1
GdMn2Ge2 | Materials Project | r²SCAN | optimized geometry; calculated total energy = -103.598 eV for the cell shown; space-group type = No. 139; ΔE_f = -618 meV per atom
1.0
-2.059 2.059 5.532
2.059 -2.059 5.532
2.059 2.059 -5.532
Gd Mn Ge
1 2 2
Cartesian
0.000 0.000 0.000
2.059 0.000 2.766
0.000 2.059 2.766
0.000 0.000 4.292
0.000 0.000 6.771

Record 2
Hf6Be15Co8 | Materials Project | r²SCAN | optimized geometry; calculated total energy = -450.052 eV for the cell shown; space-group type = No. 225; ΔE_f = -283 meV per atom
1.0
0.000 5.442 5.442
5.442 0.000 5.442
5.442 5.442 0.000
Hf Be Co
6 15 8
Cartesian
5.442 5.442 2.323
5.442 2.323 5.442
8.561 5.442 5.442
2.323 5.442 5.442
5.442 8.561 5.442
5.442 5.442 8.561
2.721 2.721 0.000
2.721 0.000 2.721
5.442 2.721 2.721
1.935 1.935 1.935
3.507 3.507 1.935
3.507 1.935 3.507
1.935 3.507 3.507
0.000 2.721 2.721
2.721 5.442 2.721
2.721 2.721 5.442
5.442 5.442 5.442
8.949 7.377 7.377
7.377 8.949 7.377
7.377 7.377 8.949
8.949 8.949 8.949
6.800 4.084 4.084
4.084 4.084 4.084
6.800 6.800 4.084
6.800 4.084 6.800
4.084 6.800 4.084
4.084 4.084 6.800
6.800 6.800 6.800
4.084 6.800 6.800

Record 3
CeC2 | Materials Project | r²SCAN | optimized geometry; calculated total energy = -51.603 eV for the cell shown; space-group type = No. 139; ΔE_f = -289 meV per atom
1.0
-1.883 1.883 3.149
1.883 -1.883 3.149
1.883 1.883 -3.149
Ce C
1 2
Cartesian
0.000 0.000 0.000
0.000 0.000 2.496
0.000 0.000 3.802

Record 4
SmAl3Ni2 | Materials Project | r²SCAN | optimized geometry; calculated total energy = -233.654 eV for the cell shown; space-group type = No. 191; ΔE_f = -665 meV per atom
1.0
9.044 0.000 0.000
-4.522 7.833 0.000
0.000 0.000 4.067
Sm Al Ni
3 9 6
Cartesian
0.000 0.000 0.000
0.000 5.222 2.034
4.522 2.611 2.034
-1.341 2.322 2.034
-2.261 3.916 0.000
-3.181 5.510 2.034
2.681 0.000 2.034
1.341 2.322 2.034
4.522 0.000 0.000
2.261 3.916 0.000
6.363 0.000 2.034
3.181 5.510 2.034
0.000 2.840 0.000
-2.063 6.413 0.000
2.459 1.420 0.000
2.063 6.413 0.000
6.585 1.420 0.000
4.522 4.993 0.000

Record 5
TmCdPd2 | Materials Project | r²SCAN | optimized geometry; calculated total energy = -104.307 eV for the cell shown; space-group type = No. 225; ΔE_f = -790 meV per atom
1.0
0.000 3.336 3.336
3.336 0.000 3.336
3.336 3.336 0.000
Tm Cd Pd
1 1 2
Cartesian
0.000 0.000 0.000
3.336 3.336 3.336
1.668 1.668 1.668
5.004 5.004 5.004

Record 6
NbNiB | Materials Project | r²SCAN | optimized geometry; calculated total energy = -91.435 eV for the cell shown; space-group type = No. 63; ΔE_f = -552 meV per atom
1.0
1.645 -6.650 0.000
1.645 6.650 0.000
0.000 0.000 3.071
Nb Ni B
2 2 2
Cartesian
1.645 5.332 2.304
1.645 -5.332 0.768
1.645 2.731 2.304
1.645 -2.731 0.768
1.645 0.460 2.304
1.645 -0.460 0.768

Record 7
Zr2Al | Materials Project | r²SCAN | optimized geometry; calculated total energy = -106.674 eV for the cell shown; space-group type = No. 140; ΔE_f = -368 meV per atom
1.0
-3.423 3.423 2.689
3.423 -3.423 2.689
3.423 3.423 -2.689
Zr Al
4 2
Cartesian
4.460 1.037 0.000
1.037 2.387 0.000
2.387 1.037 2.689
-1.037 2.387 2.689
0.000 0.000 1.344
0.000 0.000 4.033

Record 8
Rb2NaScI6 | Materials Project | r²SCAN | optimized geometry; calculated total energy = -205.601 eV for the cell shown; space-group type = No. 225; ΔE_f = -1542 meV per atom
1.0
0.000 5.974 5.974
5.974 0.000 5.974
5.974 5.974 0.000
Rb Na Sc I
2 1 1 6
Cartesian
2.987 2.987 2.987
8.960 8.960 8.960
0.000 0.000 0.000
5.974 5.974 5.974
5.974 5.974 3.093
5.974 3.093 5.974
8.854 5.974 5.974
3.093 5.974 5.974
5.974 8.854 5.974
5.974 5.974 8.854